A relaxed SbPCl4F6 crystal. Source: Materials Project, functional PBE-GGA.

Values from the calculation:
space-group type: No. 85
formation energy: -1.89 eV per atom
VASP energy: -96.78 eV/cell
total magnetic moment: 0.00 μB/cell

```
data_SbPCl4F6
_chemical_formula_sum 'Sb2 P2 Cl8 F12'
_symmetry_space_group_name_H-M 'P 1'
_symmetry_Int_Tables_number 1
_cell_length_a 8.716
_cell_length_b 8.716
_cell_length_c 6.943
_cell_angle_alpha 90.00
_cell_angle_beta 90.00
_cell_angle_gamma 90.00
loop_
_symmetry_equiv_pos_as_xyz
'x,y,z'
loop_
_atom_site_label
_atom_site_fract_x
_atom_site_fract_y
_atom_site_fract_z
_atom_site_occupancy
Sb1 0.000 0.500 0.147 1
Sb2 0.500 0.000 0.853 1
P1 0.500 0.500 0.500 1
P2 0.000 0.000 0.500 1
Cl1 0.047 0.177 0.662 1
Cl2 0.453 0.323 0.338 1
Cl3 0.323 0.547 0.662 1
Cl4 0.823 0.047 0.338 1
Cl5 0.547 0.677 0.338 1
Cl6 0.177 0.953 0.338 1
Cl7 0.677 0.453 0.662 1
Cl8 0.953 0.823 0.662 1
F1 0.291 0.930 0.854 1
F2 0.791 0.430 0.146 1
F3 0.209 0.570 0.146 1
F4 0.930 0.709 0.146 1
F5 0.570 0.791 0.854 1
F6 0.709 0.070 0.854 1
F7 0.430 0.209 0.854 1
F8 0.000 0.500 0.869 1
F9 0.070 0.291 0.146 1
F10 0.500 0.000 0.577 1
F11 0.000 0.500 0.423 1
F12 0.500 0.000 0.131 1
```